(1)
! Li5Co4NiO10 | the Materials Project | GGA+U | optimized geometry; values from VASP
&SYSTEM
  ibrav = 0, nat = 20, ntyp = 4
/
ATOMIC_SPECIES
Li 6.94 Li.upf
Co 58.93 Co.upf
Ni 58.69 Ni.upf
O 16.00 O.upf
CELL_PARAMETERS angstrom
4.945 -1.499 0.000
4.945 1.499 0.000
-2.428 0.000 12.209
ATOMIC_POSITIONS angstrom
Li 0.000 0.000 0.000
Li 1.002 0.000 4.865
Li 2.019 0.000 9.781
Li 5.442 0.000 2.427
Li 6.459 0.000 7.344
Co -0.744 0.000 8.513
Co 2.736 0.000 1.227
Co 4.726 0.000 10.981
Co 8.206 0.000 3.696
Ni 3.731 0.000 6.104
O -1.478 0.000 10.344
O 0.065 0.000 6.834
O 1.976 0.000 2.961
O 1.067 0.000 11.672
O 2.944 0.000 7.999
O 4.518 0.000 4.209
O 6.395 0.000 0.536
O 5.486 0.000 9.248
O 7.397 0.000 5.374
O 8.939 0.000 1.865
! energy of formation from the pure elements = -1.608 eV/atom
! E (MP2020) = -6.270 eV per atom
! crystal system = monoclinic
! spin magnetization = 9.0 μB/f.u.
! SG = C2/m, No. 12

***

(2)
! Li3CoNi3O8 | the Materials Project | GGA+U | optimized geometry; values from VASP
&SYSTEM
  ibrav = 0, nat = 15, ntyp = 4
/
ATOMIC_SPECIES
Li 6.94 Li.upf
Co 58.93 Co.upf
Ni 58.69 Ni.upf
O 16.00 O.upf
CELL_PARAMETERS angstrom
2.881 1.663 4.795
-2.881 1.663 4.795
0.000 -3.327 4.795
ATOMIC_POSITIONS angstrom
Li -1.441 -0.832 4.795
Li -1.441 0.832 9.590
Li 0.000 1.663 4.795
Co 0.000 0.000 7.192
Ni -2.881 0.000 7.192
Ni -1.441 0.832 2.397
Ni 1.441 0.832 2.397
O 0.000 0.000 3.444
O -1.350 -0.779 8.230
O 0.000 -1.558 6.154
O -1.350 0.779 6.154
O 1.350 -0.779 8.230
O 0.000 1.558 8.230
O 1.350 0.779 6.154
O 0.000 0.000 10.941
! energy of formation from the pure elements = -1.428 eV/atom
! ΔE to the lowest computed polymorph = 0.0 kJ per mole of atoms
! E (MP2020) = -6.078 eV per atom
! crystal system = trigonal
! spin magnetization = 2.0 μB/f.u.
! SG = R-3m, No. 166

***

(3)
! Li2CoNiO4 | the Materials Project | GGA+U | optimized geometry; values from VASP
&SYSTEM
  ibrav = 0, nat = 16, ntyp = 4
/
ATOMIC_SPECIES
Li 6.94 Li.upf
Co 58.93 Co.upf
Ni 58.69 Ni.upf
O 16.00 O.upf
CELL_PARAMETERS angstrom
4.085 0.000 0.000
0.000 4.097 0.000
0.000 0.000 8.383
ATOMIC_POSITIONS angstrom
Li 0.000 0.000 0.000
Li 0.000 2.048 2.100
Li 2.043 0.000 6.289
Li 2.043 2.048 4.185
Co 0.000 0.000 4.188
Co 2.043 2.048 8.373
Ni 0.000 2.048 6.274
Ni 2.043 0.000 2.095
O 0.000 0.000 2.313
O 0.000 0.000 6.037
O 0.000 2.048 4.294
O 0.000 2.048 8.266
O 2.043 0.000 0.068
O 2.043 0.000 4.111
O 2.043 2.048 1.811
O 2.043 2.048 6.555
! energy of formation from the pure elements = -1.552 eV/atom
! ΔE to the lowest computed polymorph = 6.9 kJ per mole of atoms
! E (MP2020) = -6.115 eV per atom
! crystal system = orthorhombic
! spin magnetization = 0.7 μB/f.u.
! SG = Pmm2, No. 25

***

(4)
! Li2Co3NiO8 | the Materials Project | GGA+U | optimized geometry; values from VASP
&SYSTEM
  ibrav = 0, nat = 56, ntyp = 4
/
ATOMIC_SPECIES
Li 6.94 Li.upf
Co 58.93 Co.upf
Ni 58.69 Ni.upf
O 16.00 O.upf
CELL_PARAMETERS angstrom
8.042 0.000 0.000
0.000 8.042 0.000
0.000 0.000 8.042
ATOMIC_POSITIONS angstrom
Li 0.016 0.016 0.016
Li 1.994 1.994 1.994
Li 2.027 6.048 6.015
Li 4.005 8.026 4.037
Li 4.037 4.005 8.026
Li 6.015 2.027 6.048
Li 6.048 6.015 2.027
Li 8.026 4.037 4.005
Co 0.985 1.025 5.026
Co 1.005 3.036 7.017
Co 1.025 5.026 0.985
Co 2.996 3.016 5.007
Co 3.016 5.007 2.996
Co 3.036 7.017 1.005
Co 5.007 2.996 3.016
Co 5.026 0.985 1.025
Co 5.046 7.037 7.057
Co 7.017 1.005 3.036
Co 7.037 7.057 5.046
Co 7.057 5.046 7.037
Ni 1.005 7.037 3.016
Ni 3.016 1.005 7.037
Ni 5.026 5.026 5.026
Ni 7.037 3.016 1.005
O 0.889 7.122 4.910
O 0.889 3.133 0.920
O 0.912 4.933 7.131
O 0.920 0.889 3.133
O 1.090 6.920 1.121
O 1.099 2.922 5.120
O 1.121 1.090 6.920
O 1.122 5.142 2.931
O 2.899 2.900 6.952
O 2.900 6.952 2.899
O 2.922 5.120 1.099
O 2.931 1.122 5.142
O 3.101 7.153 7.154
O 3.109 3.109 3.109
O 3.132 4.910 4.941
O 3.133 0.920 0.889
O 4.910 4.941 3.132
O 4.910 0.889 7.122
O 4.933 7.131 0.912
O 4.941 3.132 4.910
O 5.111 5.143 6.921
O 5.120 1.099 2.922
O 5.142 2.931 1.122
O 5.143 6.921 5.111
O 6.920 1.121 1.090
O 6.921 5.111 5.143
O 6.943 6.943 6.943
O 6.952 2.899 2.900
O 7.122 4.910 0.889
O 7.131 0.912 4.933
O 7.153 7.154 3.101
O 7.154 3.101 7.153
! energy of formation from the pure elements = -1.366 eV/atom
! ΔE to the lowest computed polymorph = 7.1 kJ per mole of atoms
! E (MP2020) = -6.402 eV per atom
! crystal system = cubic
! spin magnetization = 5.0 μB/f.u.
! SG = P4_332, No. 212

***

(5)
! Li2CoNiO4 | the Materials Project | GGA+U | optimized geometry; values from VASP
&SYSTEM
  ibrav = 0, nat = 16, ntyp = 4
/
ATOMIC_SPECIES
Li 6.94 Li.upf
Co 58.93 Co.upf
Ni 58.69 Ni.upf
O 16.00 O.upf
CELL_PARAMETERS angstrom
5.032 -2.941 0.000
5.032 2.941 0.000
-1.663 0.000 4.784
ATOMIC_POSITIONS angstrom
Li 0.840 0.000 4.765
Li 5.032 1.485 0.000
Li 5.032 -1.485 0.000
Li 7.561 0.000 0.020
Co -0.832 0.000 2.392
Co 4.201 0.000 2.392
Ni 1.684 1.470 2.392
Ni 1.684 -1.470 2.392
O 0.739 0.000 1.350
O 3.428 1.553 1.296
O 4.973 1.553 3.489
O 2.626 0.000 3.458
O 5.775 0.000 1.326
O 3.428 -1.553 1.296
O 4.973 -1.553 3.489
O 7.662 0.000 3.435
! energy of formation from the pure elements = -1.587 eV/atom
! ΔE to the lowest computed polymorph = 3.5 kJ per mole of atoms
! E (MP2020) = -6.149 eV per atom
! crystal system = monoclinic
! spin magnetization = 3.0 μB/f.u.
! SG = C2/m, No. 12

***

(6)
! LiCo2NiO6 | the Materials Project | GGA+U | optimized geometry; values from VASP
&SYSTEM
  ibrav = 0, nat = 20, ntyp = 4
/
ATOMIC_SPECIES
Li 6.94 Li.upf
Co 58.93 Co.upf
Ni 58.69 Ni.upf
O 16.00 O.upf
CELL_PARAMETERS angstrom
1.193 -3.861 4.067
-5.515 0.581 1.902
-0.492 -3.601 -5.387
ATOMIC_POSITIONS angstrom
Li -4.363 -2.004 1.145
Li -3.766 -3.934 3.179
Co -3.184 -4.593 0.320
Co -0.517 -3.595 -5.319
Co -3.780 -2.662 -1.713
Co 0.079 -5.526 -3.285
Ni -1.008 -4.224 2.227
Ni -1.605 -2.294 0.194
O -3.275 -1.281 -0.567
O -2.679 -3.211 1.467
O -0.531 -1.376 -1.078
O 0.065 -3.306 0.955
O -4.681 -3.582 -0.303
O -4.085 -5.512 1.731
O -4.535 -4.025 -2.794
O -3.939 -5.956 -0.761
O -2.307 -3.633 -1.008
O -1.711 -5.563 1.026
O -0.902 -0.955 1.396
O -0.306 -2.885 3.429
! energy of formation from the pure elements = -1.264 eV/atom
! E (MP2020) = -6.423 eV per atom
! spin magnetization = 0.0 μB/f.u.

***

(7)
! LiCo3NiO8 | the Materials Project | GGA+U | optimized geometry; values from VASP
&SYSTEM
  ibrav = 0, nat = 13, ntyp = 4
/
ATOMIC_SPECIES
Li 6.94 Li.upf
Co 58.93 Co.upf
Ni 58.69 Ni.upf
O 16.00 O.upf
CELL_PARAMETERS angstrom
2.839 1.639 5.007
-2.839 1.639 5.007
0.000 -3.278 5.007
ATOMIC_POSITIONS angstrom
Li 0.000 0.000 0.000
Co -2.839 0.000 7.511
Co -1.420 0.820 2.504
Co 1.420 0.820 2.504
Ni 0.000 0.000 7.511
O -1.487 -0.858 8.489
O 0.000 0.000 3.443
O 0.000 -1.717 6.533
O -1.487 0.858 6.533
O 1.487 -0.858 8.489
O 0.000 1.717 8.489
O 0.000 0.000 11.579
O 1.487 0.858 6.533
! energy of formation from the pure elements = -1.220 eV/atom
! ΔE to the lowest computed polymorph = 1.0 kJ per mole of atoms
! E (MP2020) = -6.496 eV per atom
! crystal system = trigonal
! SG = R-3m, No. 166

***

(8)
! Li10CoNi9O20 | the Materials Project | GGA+U | optimized geometry; values from VASP
&SYSTEM
  ibrav = 0, nat = 40, ntyp = 4
/
ATOMIC_SPECIES
Li 6.94 Li.upf
Co 58.93 Co.upf
Ni 58.69 Ni.upf
O 16.00 O.upf
CELL_PARAMETERS angstrom
5.715 0.000 0.000
0.000 2.792 0.000
-2.808 0.000 21.292
ATOMIC_POSITIONS angstrom
Li 0.000 0.000 0.000
Li -1.404 1.396 10.646
Li -0.005 0.000 8.541
Li -1.385 1.396 19.161
Li 0.034 0.000 17.027
Li 1.449 1.396 6.350
Li 1.457 1.396 14.943
Li 2.872 0.000 4.265
Li 4.292 1.396 2.131
Li 2.911 0.000 12.751
Co 1.453 1.396 10.646
Ni 0.008 0.000 4.266
Ni -1.389 1.396 14.878
Ni 0.026 0.000 12.709
Ni 1.434 1.396 2.131
Ni 2.857 0.000 0.000
Ni 1.472 1.396 19.162
Ni 2.880 0.000 8.584
Ni 2.898 0.000 17.027
Ni 4.295 1.396 6.414
O -1.270 1.396 12.782
O 0.147 0.000 2.129
O -1.527 1.396 17.026
O -0.113 0.000 6.405
O 0.152 0.000 10.632
O -1.238 1.396 21.291
O 1.298 1.396 4.261
O -0.079 0.000 14.874
O 0.186 0.000 19.161
O 1.575 1.396 8.713
O 1.332 1.396 12.579
O 2.721 0.000 2.131
O 2.986 0.000 6.419
O 1.609 1.396 17.031
O 4.145 1.396 0.001
O 2.755 0.000 10.661
O 3.019 0.000 14.888
O 4.433 1.396 4.266
O 2.759 0.000 19.163
O 4.176 1.396 8.511
! energy of formation from the pure elements = -1.518 eV/atom
! E (MP2020) = -5.948 eV per atom
! crystal system = monoclinic
! spin magnetization = 9.0 μB/f.u.
! SG = P2/m, No. 10

***

(9)
! Li3Co2NiO6 | the Materials Project | GGA+U | optimized geometry; values from VASP
&SYSTEM
  ibrav = 0, nat = 24, ntyp = 4
/
ATOMIC_SPECIES
Li 6.94 Li.upf
Co 58.93 Co.upf
Ni 58.69 Ni.upf
O 16.00 O.upf
CELL_PARAMETERS angstrom
2.861 0.000 0.000
0.002 5.799 0.000
0.010 2.786 12.338
ATOMIC_POSITIONS angstrom
Li 0.000 0.000 0.000
Li 0.005 2.808 4.266
Li 1.431 1.366 2.151
Li 1.437 4.281 6.325
Li 1.441 7.096 10.264
Li 2.867 5.648 8.236
Co 0.005 2.851 0.083
Co 1.437 7.156 6.248
Co 1.436 4.276 2.099
Co 2.865 2.773 8.277
Ni 0.007 5.719 4.205
Ni 1.439 4.211 10.343
O 2.868 5.839 6.237
O 0.005 2.996 2.031
O 0.006 5.540 2.075
O 0.016 5.603 10.519
O 1.432 4.081 8.294
O 1.437 7.257 8.184
O 1.436 1.330 4.293
O 1.437 4.293 3.957
O 1.435 4.168 0.196
O 1.436 1.555 0.113
O 2.861 2.814 10.215
O 2.865 2.675 6.342
! energy of formation from the pure elements = -1.658 eV/atom
! ΔE to the lowest computed polymorph = 0.5 kJ per mole of atoms
! E (MP2020) = -6.276 eV per atom
! crystal system = triclinic
! spin magnetization = 1.7 μB/f.u.
! SG = P1, No. 1

***

(10)
! Li2Co3NiO8 | the Materials Project | GGA+U | optimized geometry; values from VASP
&SYSTEM
  ibrav = 0, nat = 14, ntyp = 4
/
ATOMIC_SPECIES
Li 6.94 Li.upf
Co 58.93 Co.upf
Ni 58.69 Ni.upf
O 16.00 O.upf
CELL_PARAMETERS angstrom
4.858 -2.866 0.000
4.858 2.866 0.000
-3.241 0.000 4.840
ATOMIC_POSITIONS angstrom
Li 0.000 0.000 0.000
Li 4.858 0.000 0.000
Co -1.620 0.000 2.420
Co 0.809 1.433 2.420
Co 0.809 -1.433 2.420
Ni 3.238 0.000 2.420
O 2.366 1.486 3.442
O 0.036 0.000 3.403
O 4.110 1.486 1.398
O 1.584 0.000 1.459
O 4.891 0.000 3.380
O 2.366 -1.486 3.442
O 6.440 0.000 1.436
O 4.110 -1.486 1.398
! energy of formation from the pure elements = -1.388 eV/atom
! ΔE to the lowest computed polymorph = 5.0 kJ per mole of atoms
! E (MP2020) = -6.424 eV per atom
! crystal system = monoclinic
! spin magnetization = 5.0 μB/f.u.
! SG = C2/m, No. 12

***

(11)
! Li3Co2NiO6 | the Materials Project | GGA+U | optimized geometry; values from VASP
&SYSTEM
  ibrav = 0, nat = 24, ntyp = 4
/
ATOMIC_SPECIES
Li 6.94 Li.upf
Co 58.93 Co.upf
Ni 58.69 Ni.upf
O 16.00 O.upf
CELL_PARAMETERS angstrom
2.929 0.000 0.000
0.071 5.890 0.000
0.025 2.853 12.293
ATOMIC_POSITIONS angstrom
Li 0.000 0.000 0.000
Li 0.033 2.966 4.060
Li 1.530 7.316 10.220
Li 1.486 1.581 1.951
Li 1.525 4.460 6.151
Li 2.983 5.918 8.223
Co 1.522 4.475 2.047
Co 1.534 4.471 10.296
Co 2.948 2.944 8.147
Co 2.995 5.913 4.046
Ni 0.074 5.908 12.285
Ni 1.465 1.470 6.100
O 0.066 5.819 10.203
O 0.071 5.942 5.898
O 0.054 3.178 2.072
O 0.058 3.016 9.997
O 1.423 7.477 8.139
O 1.463 1.294 4.013
O 1.521 4.463 0.138
O 1.528 4.630 3.996
O 1.524 4.394 12.161
O 1.623 4.323 8.202
O 2.929 2.924 6.259
O 2.988 5.778 2.159
! energy of formation from the pure elements = -1.620 eV/atom
! ΔE to the lowest computed polymorph = 4.1 kJ per mole of atoms
! E (MP2020) = -6.238 eV per atom
! crystal system = triclinic
! spin magnetization = 0.0 μB/f.u.
! SG = P1, No. 1

***

(12)
! Li3Co2NiO6 | the Materials Project | GGA+U | optimized geometry; values from VASP
&SYSTEM
  ibrav = 0, nat = 12, ntyp = 4
/
ATOMIC_SPECIES
Li 6.94 Li.upf
Co 58.93 Co.upf
Ni 58.69 Ni.upf
O 16.00 O.upf
CELL_PARAMETERS angstrom
2.912 0.000 0.000
-1.456 2.522 0.000
0.000 0.000 14.429
ATOMIC_POSITIONS angstrom
Li 0.000 0.000 0.000
Li 0.000 1.681 9.580
Li 1.456 0.841 4.850
Co 0.000 1.681 2.398
Co 1.456 0.841 12.031
Ni 0.000 0.000 7.215
O 0.000 0.000 3.452
O 0.000 0.000 10.977
O 0.000 1.681 6.119
O 0.000 1.681 13.114
O 1.456 0.841 1.315
O 1.456 0.841 8.310
! energy of formation from the pure elements = -1.639 eV/atom
! ΔE to the lowest computed polymorph = 2.3 kJ per mole of atoms
! E (MP2020) = -6.257 eV per atom
! crystal system = trigonal
! spin magnetization = 1.0 μB/f.u.
! SG = P-3m1, No. 164

***

(13)
! Li3Co2NiO6 | the Materials Project | GGA+U | optimized geometry; values from VASP
&SYSTEM
  ibrav = 0, nat = 24, ntyp = 4
/
ATOMIC_SPECIES
Li 6.94 Li.upf
Co 58.93 Co.upf
Ni 58.69 Ni.upf
O 16.00 O.upf
CELL_PARAMETERS angstrom
2.857 0.000 0.000
1.423 6.345 0.000
0.020 2.738 11.232
ATOMIC_POSITIONS angstrom
Li 0.000 0.000 0.000
Li 0.013 1.377 5.606
Li 1.428 3.053 3.640
Li 1.441 4.425 9.421
Li 2.854 4.668 1.885
Li 2.869 6.050 7.566
Co 1.422 2.364 0.941
Co 1.439 3.732 6.552
Co 2.870 6.723 10.307
Co 2.866 5.358 4.690
Ni 1.437 8.390 8.444
Ni 2.859 0.692 2.819
O 1.442 6.411 9.022
O 1.441 5.053 3.437
O 1.421 4.214 0.370
O 1.438 5.564 5.998
O 1.407 0.511 1.456
O 1.438 1.923 7.014
O 2.869 8.591 9.816
O 2.877 7.211 4.198
O 2.870 4.864 10.874
O 2.867 3.501 5.285
O 2.846 2.669 2.215
O 2.866 4.037 7.778
! energy of formation from the pure elements = -1.663 eV/atom
! ΔE to the lowest computed polymorph = 0.0 kJ per mole of atoms
! E (MP2020) = -6.281 eV per atom
! crystal system = triclinic
! spin magnetization = 1.0 μB/f.u.
! SG = P1, No. 1

***

(14)
! Li2Co3NiO8 | the Materials Project | GGA+U | optimized geometry; values from VASP
&SYSTEM
  ibrav = 0, nat = 28, ntyp = 4
/
ATOMIC_SPECIES
Li 6.94 Li.upf
Co 58.93 Co.upf
Ni 58.69 Ni.upf
O 16.00 O.upf
CELL_PARAMETERS angstrom
5.601 0.000 0.000
2.764 4.968 0.000
2.749 1.474 9.776
ATOMIC_POSITIONS angstrom
Li 2.758 1.651 2.415
Li 4.146 2.365 7.306
Li 6.968 4.077 2.470
Li 8.355 4.792 7.361
Co 0.000 0.000 0.000
Co 1.374 0.737 4.888
Co 1.382 2.484 0.000
Co 4.175 0.737 4.888
Co 4.182 2.484 0.000
Co 5.557 3.221 4.888
Ni 2.756 3.221 4.888
Ni 2.800 0.000 0.000
O 2.758 1.598 5.838
O 1.403 0.825 0.950
O 4.135 3.889 5.957
O 2.796 3.176 1.060
O 4.138 2.390 3.917
O 5.531 3.093 8.805
O 5.557 4.846 3.897
O 6.967 5.606 8.771
O 4.146 0.836 1.005
O 5.557 1.596 5.879
O 5.582 3.349 0.971
O 6.975 4.052 5.858
O 8.317 3.267 8.715
O 6.978 2.553 3.819
O 9.710 5.617 8.825
O 8.355 4.844 3.938
! energy of formation from the pure elements = -1.368 eV/atom
! ΔE to the lowest computed polymorph = 6.9 kJ per mole of atoms
! E (MP2020) = -6.404 eV per atom
! crystal system = triclinic
! spin magnetization = 0.8 μB/f.u.
! SG = P-1, No. 2